Material: Zr2V3Ru
Method: DFT, meta-GGA r2SCAN
State: optimized geometry

```
data_Zr2V3Ru
_chemical_formula_sum 'Zr4 V6 Ru2'
_space_group_name_H-M_alt 'P 1'
_space_group_IT_number 1
_cell_length_a 5.283
_cell_length_b 5.283
_cell_length_c 8.189
_cell_angle_alpha 90.00
_cell_angle_beta 90.00
_cell_angle_gamma 120.00
loop_
_space_group_symop_operation_xyz
'x,y,z'
loop_
_atom_site_label
_atom_site_type_symbol
_atom_site_fract_x
_atom_site_fract_y
_atom_site_fract_z
Zr1 Zr 0.333 0.667 0.440
Zr2 Zr 0.667 0.333 0.560
Zr3 Zr 0.667 0.333 0.940
Zr4 Zr 0.333 0.667 0.060
V1 V 0.831 0.169 0.250
V2 V 0.831 0.662 0.250
V3 V 0.338 0.169 0.250
V4 V 0.169 0.831 0.750
V5 V 0.169 0.338 0.750
V6 V 0.662 0.831 0.750
Ru1 Ru 0.000 0.000 0.500
Ru2 Ru 0.000 0.000 0.000
```

=====

Material: Mg3Ag
Method: DFT, meta-GGA r2SCAN
State: optimized geometry

```
data_Mg3Ag
_chemical_formula_sum 'Mg6 Ag2'
_space_group_name_H-M_alt 'P 1'
_space_group_IT_number 1
_cell_length_a 6.112
_cell_length_b 6.112
_cell_length_c 4.883
_cell_angle_alpha 90.00
_cell_angle_beta 90.00
_cell_angle_gamma 120.00
loop_
_space_group_symop_operation_xyz
'x,y,z'
loop_
_atom_site_label
_atom_site_type_symbol
_atom_site_fract_x
_atom_site_fract_y
_atom_site_fract_z
Mg1 Mg 0.171 0.342 0.250
Mg2 Mg 0.171 0.829 0.250
Mg3 Mg 0.658 0.829 0.250
Mg4 Mg 0.342 0.171 0.750
Mg5 Mg 0.829 0.171 0.750
Mg6 Mg 0.829 0.658 0.750
Ag1 Ag 0.667 0.333 0.250
Ag2 Ag 0.333 0.667 0.750
```

=====

Material: PmSm3
Method: DFT, meta-GGA r2SCAN
State: optimized geometry

```
data_PmSm3
_chemical_formula_sum 'Pm2 Sm6'
_space_group_name_H-M_alt 'P 1'
_space_group_IT_number 1
_cell_length_a 7.409
_cell_length_b 7.409
_cell_length_c 5.809
_cell_angle_alpha 90.00
_cell_angle_beta 90.00
_cell_angle_gamma 120.00
loop_
_space_group_symop_operation_xyz
'x,y,z'
loop_
_atom_site_label
_atom_site_type_symbol
_atom_site_fract_x
_atom_site_fract_y
_atom_site_fract_z
Pm1 Pm 0.667 0.333 0.250
Pm2 Pm 0.333 0.667 0.750
Sm1 Sm 0.833 0.167 0.750
Sm2 Sm 0.333 0.167 0.750
Sm3 Sm 0.833 0.667 0.750
Sm4 Sm 0.167 0.833 0.250
Sm5 Sm 0.667 0.833 0.250
Sm6 Sm 0.167 0.333 0.250
```

Its excess energy over the best structure of this formula in the dataset is 0.1 kJ/mol of atoms.

=====

Material: SrI2
Method: DFT, meta-GGA r2SCAN
State: optimized geometry

```
data_SrI2
_chemical_formula_sum 'Sr2 I4'
_space_group_name_H-M_alt 'P 1'
_space_group_IT_number 1
_cell_length_a 7.719
_cell_length_b 7.719
_cell_length_c 4.974
_cell_angle_alpha 90.00
_cell_angle_beta 90.00
_cell_angle_gamma 90.00
loop_
_space_group_symop_operation_xyz
'x,y,z'
loop_
_atom_site_label
_atom_site_type_symbol
_atom_site_fract_x
_atom_site_fract_y
_atom_site_fract_z
Sr1 Sr 0.000 0.000 0.000
Sr2 Sr 0.500 0.500 0.500
I1 I 0.302 0.302 0.000
I2 I 0.698 0.698 0.000
I3 I 0.198 0.802 0.500
I4 I 0.802 0.198 0.500
```

=====

Number 1: formation enthalpy at 0 K -0.2751 eV/atom. Number 2: formation enthalpy at 0 K -0.0999 eV/atom. Number 3: formation enthalpy at 0 K 0.0220 eV/atom. Number 4: formation enthalpy at 0 K -1.9196 eV/atom.